No. 1
Below is a relaxed structure of Ta3B2, with properties calculated at the meta-GGA r2SCAN level.

Calculated values
The value obtained for the raw total energy is -32.816 eV per atom. As for the calculated density: 14879 kg/m³. For the formation energy, the calculation gives -0.722 eV/atom.

abc: 6.188 6.188 3.291
angles: 90.00 90.00 90.00
Sites, in units of the cell vectors:
Ta (0.000, 0.000, 0.000)
Ta (0.177, 0.323, 0.500)
Ta (0.323, 0.823, 0.500)
Ta (0.500, 0.500, 0.000)
Ta (0.677, 0.177, 0.500)
Ta (0.823, 0.677, 0.500)
B (0.108, 0.608, 0.000)
B (0.392, 0.108, 0.000)
B (0.608, 0.892, 0.000)
B (0.892, 0.392, 0.000)

No. 2
Below is a relaxed structure of DyNi4P2, with properties calculated at the meta-GGA r2SCAN level.

Calculated values
The value obtained for the raw total energy is -14.845 eV per atom. As for the calculated density: 8609 kg/m³. For the formation energy, the calculation gives -0.857 eV/atom.

abc: 7.057 7.057 3.557
angles: 90.00 90.00 90.00
Sites, in units of the cell vectors:
Dy (0.000, 0.000, 0.000)
Dy (0.500, 0.500, 0.500)
Ni (0.084, 0.336, 0.500)
Ni (0.164, 0.584, 0.000)
Ni (0.336, 0.084, 0.500)
Ni (0.416, 0.836, 0.000)
Ni (0.584, 0.164, 0.000)
Ni (0.664, 0.916, 0.500)
Ni (0.836, 0.416, 0.000)
Ni (0.916, 0.664, 0.500)
P (0.220, 0.780, 0.500)
P (0.280, 0.280, 0.000)
P (0.720, 0.720, 0.000)
P (0.780, 0.220, 0.500)

No. 3
Below is a relaxed structure of LaEuHg2, with properties calculated at the meta-GGA r2SCAN level.

Calculated values
The value obtained for the raw total energy is -42.359 eV per atom. As for the calculated density: 9812 kg/m³. For the formation energy, the calculation gives -0.608 eV/atom.

abc: 5.492 5.492 5.492
angles: 60.00 60.00 60.00
Sites, in units of the cell vectors:
La (0.000, 0.000, 0.000)
Eu (0.500, 0.500, 0.500)
Hg (0.250, 0.250, 0.250)
Hg (0.750, 0.750, 0.750)

No. 4
Below is a relaxed structure of SrLiSb, with properties calculated at the meta-GGA r2SCAN level.

Calculated values
The value obtained for the raw total energy is -15.537 eV per atom. As for the calculated density: 4341 kg/m³. For the formation energy, the calculation gives -1.124 eV/atom.

abc: 8.070 4.827 8.496
angles: 90.00 90.00 90.00
Sites, in units of the cell vectors:
Sr (0.004, 0.250, 0.207)
Sr (0.496, 0.750, 0.707)
Sr (0.504, 0.250, 0.293)
Sr (0.996, 0.750, 0.793)
Li (0.157, 0.250, 0.574)
Li (0.343, 0.750, 0.074)
Li (0.657, 0.250, 0.926)
Li (0.843, 0.750, 0.426)
Sb (0.223, 0.750, 0.406)
Sb (0.277, 0.250, 0.906)
Sb (0.723, 0.750, 0.094)
Sb (0.777, 0.250, 0.594)

No. 5
Below is a relaxed structure of Ba3Cr2O8, with properties calculated at the meta-GGA r2SCAN level.

Calculated values
The value obtained for the raw total energy is -14.794 eV per atom. The calculation puts the energy above the most stable polymorph in this dataset at 2 meV per atom. As for the calculated density: 5181 kg/m³. For the formation energy, the calculation gives -2.684 eV/atom.

abc: 7.904 5.766 9.784
angles: 90.00 112.23 90.00
Sites, in units of the cell vectors:
Ba (0.162, 0.000, 0.044)
Ba (0.253, 0.487, 0.754)
Ba (0.337, 0.000, 0.456)
Ba (0.663, 0.500, 0.544)
Ba (0.747, 0.987, 0.246)
Ba (0.838, 0.500, 0.956)
Cr (0.063, 0.500, 0.342)
Cr (0.435, 0.501, 0.157)
Cr (0.565, 0.001, 0.843)
Cr (0.937, 0.000, 0.658)
O (0.038, 0.254, 0.238)
O (0.042, 0.742, 0.236)
O (0.104, 0.012, 0.590)
O (0.218, 0.495, 0.024)
O (0.278, 0.498, 0.475)
O (0.416, 0.029, 0.928)
O (0.461, 0.739, 0.268)
O (0.462, 0.260, 0.263)
O (0.538, 0.760, 0.737)
O (0.539, 0.239, 0.732)
O (0.584, 0.529, 0.072)
O (0.722, 0.998, 0.525)
O (0.782, 0.995, 0.976)
O (0.896, 0.512, 0.410)
O (0.958, 0.242, 0.764)
O (0.962, 0.754, 0.762)

No. 6
Below is a relaxed structure of La4CdRu, with properties calculated at the meta-GGA r2SCAN level.

Calculated values
The value obtained for the raw total energy is -27.753 eV per atom. As for the calculated density: 7125 kg/m³. For the formation energy, the calculation gives -0.335 eV/atom.

abc: 10.046 10.046 10.046
angles: 60.00 60.00 60.00
Sites, in units of the cell vectors:
La (0.037, 0.654, 0.654)
La (0.059, 0.059, 0.441)
La (0.059, 0.441, 0.059)
La (0.059, 0.441, 0.441)
La (0.189, 0.189, 0.811)
La (0.189, 0.811, 0.189)
La (0.189, 0.811, 0.811)
La (0.441, 0.059, 0.059)
La (0.441, 0.059, 0.441)
La (0.441, 0.441, 0.059)
La (0.654, 0.037, 0.654)
La (0.654, 0.654, 0.037)
La (0.654, 0.654, 0.654)
La (0.811, 0.189, 0.189)
La (0.811, 0.189, 0.811)
La (0.811, 0.811, 0.189)
Cd (0.422, 0.422, 0.422)
Cd (0.422, 0.422, 0.733)
Cd (0.422, 0.733, 0.422)
Cd (0.733, 0.422, 0.422)
Ru (0.409, 0.864, 0.864)
Ru (0.864, 0.409, 0.864)
Ru (0.864, 0.864, 0.409)
Ru (0.864, 0.864, 0.864)

No. 7
Below is a relaxed structure of TbDyIr2, with properties calculated at the meta-GGA r2SCAN level.

Calculated values
The value obtained for the raw total energy is -42.905 eV per atom. As for the calculated density: 14695 kg/m³. For the formation energy, the calculation gives -0.924 eV/atom.

abc: 4.832 4.832 4.832
angles: 60.00 60.00 60.00
Sites, in units of the cell vectors:
Tb (0.000, 0.000, 0.000)
Dy (0.500, 0.500, 0.500)
Ir (0.250, 0.250, 0.250)
Ir (0.750, 0.750, 0.750)

No. 8
Below is a relaxed structure of Ho2Al3Si2, with properties calculated at the meta-GGA r2SCAN level.

Calculated values
The value obtained for the raw total energy is -15.364 eV per atom. As for the calculated density: 5933 kg/m³. For the formation energy, the calculation gives -0.577 eV/atom.

abc: 5.426 5.426 6.568
angles: 100.16 100.16 43.52
Sites, in units of the cell vectors:
Ho (0.120, 0.120, 0.322)
Ho (0.880, 0.880, 0.678)
Al (0.195, 0.195, 0.868)
Al (0.500, 0.500, 0.000)
Al (0.805, 0.805, 0.132)
Si (0.407, 0.407, 0.359)
Si (0.593, 0.593, 0.641)